Record 1
Entry from the Materials Project: a geometry-optimized KSrO3 structure (PBE-GGA).

ΔH_f (0 K) (kJ/mol of formula units): -644
E (Ha/atom): -0.164

a = 4.8467 Å, b = 4.8467 Å, c = 4.8467 Å
α = 90.00°, β = 90.00°, γ = 90.00°
Space group Pm-3m (No. 221)
One atom of each set of equivalent atoms:
K 0.0000 0.0000 0.0000 [1 per cell]
Sr 0.5000 0.5000 0.5000 [1 per cell]
O 0.0000 0.5000 0.5000 [3 per cell]

=====

Record 2
Entry from the Materials Project: a geometry-optimized TlAsS2 structure (PBE-GGA).

ΔH_f (0 K) (kJ/mol of formula units): -199
E (Ha/atom): -0.150

a = 6.3196 Å, b = 11.6445 Å, c = 13.0352 Å
α = 90.00°, β = 105.55°, γ = 90.00°
Space group P2_1/c (No. 14)
One atom of each set of equivalent atoms:
Tl 0.1506 0.1776 0.0595 [4 per cell]
Tl 0.2685 0.5574 0.8886 [4 per cell]
As 0.2358 0.6683 0.2019 [4 per cell]
As 0.4630 0.0898 0.8567 [4 per cell]
S 0.1921 0.5626 0.6503 [4 per cell]
S 0.2720 0.0323 0.6836 [4 per cell]
S 0.2933 0.6858 0.3759 [4 per cell]
S 0.4196 0.2139 0.3232 [4 per cell]

=====

Record 3
Entry from the Materials Project: a geometry-optimized YCuSn structure (PBE-GGA).

ΔH_f (0 K) (kJ/mol of formula units): -178
E (Ha/atom): -0.201

a = 4.5458 Å, b = 4.5458 Å, c = 7.2953 Å
α = 90.00°, β = 90.00°, γ = 120.00°
Space group P6_3mc (No. 186)
One atom of each set of equivalent atoms:
Y 0.0000 0.0000 0.0000 [2 per cell]
Cu 0.3333 0.6667 0.3192 [2 per cell]
Sn 0.3333 0.6667 0.7302 [2 per cell]

=====

Record 4
Entry from the Materials Project: a geometry-optimized AlNi6Ge structure (PBE-GGA).

ΔH_f (0 K) (kJ/mol of formula units): -277
E (Ha/atom): -0.211

a = 3.5522 Å, b = 3.5522 Å, c = 7.1034 Å
α = 90.00°, β = 90.00°, γ = 90.00°
Space group P4/mmm (No. 123)
One atom of each set of equivalent atoms:
Al 0.0000 0.0000 0.0000 [1 per cell]
Ni 0.0000 0.5000 0.2499 [4 per cell]
Ni 0.5000 0.5000 0.0000 [1 per cell]
Ni 0.5000 0.5000 0.5000 [1 per cell]
Ge 0.0000 0.0000 0.5000 [1 per cell]

=====

Record 5
Entry from the Materials Project: a geometry-optimized Sb5IO7 structure (PBE-GGA).

ΔH_f (0 K) (kJ/mol of formula units): -2009
E (Ha/atom): -0.206

a = 11.9158 Å, b = 13.0491 Å, c = 6.9144 Å
α = 90.00°, β = 90.00°, γ = 90.00°
Space group Pnn2 (No. 34)
One atom of each set of equivalent atoms:
Sb 0.0162 0.2439 0.0000 [4 per cell]
Sb 0.1608 0.2312 0.5365 [4 per cell]
Sb 0.1674 0.5505 0.8347 [4 per cell]
Sb 0.1704 0.9408 0.8458 [4 per cell]
Sb 0.1808 0.7548 0.4786 [4 per cell]
I 0.0000 0.0000 0.2965 [2 per cell]
I 0.0000 0.5000 0.3817 [2 per cell]
O 0.0272 0.6336 0.8488 [4 per cell]
O 0.0303 0.8573 0.7955 [4 per cell]
O 0.1661 0.2451 0.8412 [4 per cell]
O 0.2102 0.8288 0.0362 [4 per cell]
O 0.2379 0.6126 0.0728 [4 per cell]
O 0.2468 0.8741 0.6156 [4 per cell]
O 0.2478 0.6599 0.6717 [4 per cell]

=====

Record 6
Entry from the Materials Project: a geometry-optimized AlAgP2Se6 structure (PBE-GGA).

Piezoelectric modulus e_max (C/m²): 0.08
ΔH_f (0 K) (kJ/mol of formula units): -568
E (Ha/atom): -0.152

a = 6.4274 Å, b = 11.1406 Å, c = 7.3862 Å
α = 90.00°, β = 106.21°, γ = 90.00°
Space group C2 (No. 5)
One atom of each set of equivalent atoms:
Al 0.0000 0.0000 0.0000 [2 per cell]
Ag 0.0000 0.3341 0.0000 [2 per cell]
P 0.0506 0.6669 0.1585 [4 per cell]
Se 0.2136 0.8445 0.2443 [4 per cell]
Se 0.2229 0.0108 0.7563 [4 per cell]
Se 0.2443 0.1461 0.2429 [4 per cell]

=====

Record 7
Entry from the Materials Project: a geometry-optimized Li2TlPCO7 structure (PBE-GGA).

ΔH_f (0 K) (kJ/mol of formula units): -2461
E (Ha/atom): -0.233

a = 5.0801 Å, b = 6.7118 Å, c = 9.0021 Å
α = 90.00°, β = 92.78°, γ = 90.00°
Space group P2_1/m (No. 11)
One atom of each set of equivalent atoms:
Li 0.2062 0.0043 0.2971 [4 per cell]
Tl 0.2469 0.2500 0.8658 [2 per cell]
P 0.2639 0.7500 0.9099 [2 per cell]
C 0.2599 0.2500 0.5599 [2 per cell]
O 0.0290 0.2500 0.6179 [2 per cell]
O 0.1441 0.5678 0.8263 [4 per cell]
O 0.2016 0.7500 0.0777 [2 per cell]
O 0.2909 0.2500 0.4201 [2 per cell]
O 0.4266 0.2500 0.0949 [2 per cell]
O 0.4702 0.2500 0.6547 [2 per cell]

=====

Record 8
Entry from the Materials Project: a geometry-optimized Nd3SiAgSe7 structure (PBE-GGA).

Piezoelectric modulus e_max (C/m²): 0.91
ΔH_f (0 K) (kJ/mol of formula units): -1866
E (Ha/atom): -0.193

a = 10.7664 Å, b = 10.7664 Å, c = 6.0755 Å
α = 90.00°, β = 90.00°, γ = 120.00°
Space group P6_3 (No. 173)
One atom of each set of equivalent atoms:
Nd 0.1264 0.7690 0.0000 [6 per cell]
Si 0.3333 0.6667 0.4100 [2 per cell]
Ag 0.0000 0.0000 0.0502 [2 per cell]
Se 0.0958 0.8247 0.5170 [6 per cell]
Se 0.1087 0.5220 0.2587 [6 per cell]
Se 0.3333 0.6667 0.7842 [2 per cell]

=====

Record 9
Entry from the Materials Project: a geometry-optimized Hf3Co structure (PBE-GGA).

ΔH_f (0 K) (kJ/mol of formula units): 46
E (Ha/atom): -0.335

a = 3.9768 Å, b = 3.9768 Å, c = 9.5452 Å
α = 90.00°, β = 90.00°, γ = 90.00°
Space group I4/mmm (No. 139)
One atom of each set of equivalent atoms:
Hf 0.0000 0.0000 0.0000 [2 per cell]
Hf 0.0000 0.5000 0.2500 [4 per cell]
Co 0.0000 0.0000 0.5000 [2 per cell]

=====

Record 10
Entry from the Materials Project: a geometry-optimized LuF3 structure (PBE-GGA).

ΔH_f (0 K) (kJ/mol of formula units): -1567
E (Ha/atom): -0.231

a = 5.4783 Å, b = 5.4783 Å, c = 5.4783 Å
α = 90.00°, β = 90.00°, γ = 90.00°
Space group Fm-3m (No. 225)
One atom of each set of equivalent atoms:
Lu 0.0000 0.0000 0.0000 [4 per cell]
F 0.0000 0.0000 0.5000 [4 per cell]
F 0.2500 0.2500 0.2500 [8 per cell]

=====

Record 11
Entry from the Materials Project: a geometry-optimized MgSi2 structure (PBE-GGA).

ΔH_f (0 K) (kJ/mol of formula units): 36
E (Ha/atom): -0.150

a = 3.7161 Å, b = 3.7161 Å, c = 4.8442 Å
α = 90.00°, β = 90.00°, γ = 120.00°
Space group P-3m1 (No. 164)
One atom of each set of equivalent atoms:
Mg 0.0000 0.0000 0.0000 [1 per cell]
Si 0.3333 0.6667 0.3965 [2 per cell]

=====

Record 12
Entry from the Materials Project: a geometry-optimized CeGaNi4 structure (PBE-GGA).

ΔH_f (0 K) (kJ/mol of formula units): -274
E (Ha/atom): -0.214

a = 5.0494 Å, b = 8.3317 Å, c = 4.0707 Å
α = 90.00°, β = 90.00°, γ = 90.00°
Space group Cmmm (No. 65)
One atom of each set of equivalent atoms:
Ce 0.0000 0.0000 0.0000 [2 per cell]
Ga 0.0000 0.5000 0.5000 [2 per cell]
Ni 0.0000 0.3293 0.0000 [4 per cell]
Ni 0.2500 0.2500 0.5000 [4 per cell]

=====

Record 13
Entry from the Materials Project: a geometry-optimized Tb2Co12P7 structure (PBE-GGA).

ΔH_f (0 K) (kJ/mol of formula units): -1619
E (Ha/atom): -0.261

a = 9.0112 Å, b = 9.0112 Å, c = 3.5886 Å
α = 90.00°, β = 90.00°, γ = 120.00°
Space group P-6 (No. 174)
One atom of each set of equivalent atoms:
Tb 0.0000 0.0000 0.0000 [1 per cell]
Tb 0.3333 0.6667 0.5000 [1 per cell]
Co 0.0493 0.7684 0.5000 [3 per cell]
Co 0.1009 0.3928 0.0000 [3 per cell]
Co 0.3947 0.2142 0.0000 [3 per cell]
Co 0.5352 0.0982 0.5000 [3 per cell]
P 0.0720 0.6269 0.0000 [3 per cell]
P 0.2653 0.0423 0.5000 [3 per cell]
P 0.6667 0.3333 0.0000 [1 per cell]

=====

Record 14
Entry from the Materials Project: a geometry-optimized CaNd3 structure (PBE-GGA).

ΔH_f (0 K) (kJ/mol of formula units): 34
E (Ha/atom): -0.147

a = 7.4835 Å, b = 7.4835 Å, c = 6.0119 Å
α = 90.00°, β = 90.00°, γ = 120.00°
Space group P6_3/mmc (No. 194)
One atom of each set of equivalent atoms:
Ca 0.3333 0.6667 0.2500 [2 per cell]
Nd 0.1641 0.3281 0.7500 [6 per cell]

=====

Record 15
Entry from the Materials Project: a geometry-optimized BAsPbO5 structure (PBE-GGA).

ΔH_f (0 K) (kJ/mol of formula units): -1600
E (Ha/atom): -0.243

a = 7.2658 Å, b = 7.2658 Å, c = 7.0125 Å
α = 90.00°, β = 90.00°, γ = 120.00°
Space group P3_1 (No. 144)
One atom of each set of equivalent atoms:
B 0.1056 0.0934 0.0000 [3 per cell]
As 0.0018 0.4051 0.1448 [3 per cell]
Pb 0.0016 0.3977 0.6445 [3 per cell]
O 0.0494 0.0064 0.1918 [3 per cell]
O 0.1343 0.3179 0.9896 [3 per cell]
O 0.1566 0.5911 0.3072 [3 per cell]
O 0.3355 0.1532 0.9582 [3 per cell]
O 0.5393 0.3983 0.3231 [3 per cell]

=====

Record 16
Entry from the Materials Project: a geometry-optimized Rb2CuAsF6 structure (PBE-GGA).

ΔH_f (0 K) (kJ/mol of formula units): -2311
E (Ha/atom): -0.159

a = 8.6936 Å, b = 8.6936 Å, c = 8.6936 Å
α = 90.00°, β = 90.00°, γ = 90.00°
Space group Fm-3m (No. 225)
One atom of each set of equivalent atoms:
Rb 0.2500 0.2500 0.2500 [8 per cell]
Cu 0.0000 0.0000 0.0000 [4 per cell]
As 0.0000 0.0000 0.5000 [4 per cell]
F 0.0000 0.0000 0.2587 [24 per cell]

=====

Record 17
Entry from the Materials Project: a geometry-optimized Ba6MgNb2IrCl2O12 structure (PBE-GGA).

ΔH_f (0 K) (kJ/mol of formula units): -6199
E (Ha/atom): -0.247

a = 10.3595 Å, b = 5.9811 Å, c = 15.8452 Å
α = 90.00°, β = 90.04°, γ = 90.00°
Space group Cm (No. 8)
One atom of each set of equivalent atoms:
Ba 0.0000 0.0000 0.0000 [2 per cell]
Ba 0.0004 0.0000 0.2372 [2 per cell]
Ba 0.0001 0.0000 0.6085 [2 per cell]
Ba 0.1669 0.5000 0.1501 [2 per cell]
Ba 0.1669 0.5000 0.4126 [2 per cell]
Ba 0.1670 0.5000 0.7336 [2 per cell]
Mg 0.0001 0.0000 0.4237 [2 per cell]
Nb 0.3335 0.0000 0.5590 [2 per cell]
Nb 0.3336 0.0000 0.1826 [2 per cell]
Ir 0.3336 0.0000 0.3665 [2 per cell]
Cl 0.0002 0.0000 0.7976 [2 per cell]
Cl 0.1668 0.5000 0.9453 [2 per cell]
O 0.1726 0.0000 0.1181 [2 per cell]
O 0.1805 0.0000 0.4605 [2 per cell]
O 0.2534 0.2400 0.6187 [4 per cell]
O 0.2581 0.2267 0.2773 [4 per cell]
O 0.4101 0.2295 0.4606 [4 per cell]
O 0.4140 0.2415 0.1182 [4 per cell]
O 0.4846 0.0000 0.2774 [2 per cell]
O 0.4934 0.0000 0.6188 [2 per cell]

=====

Record 18
Entry from the Materials Project: a geometry-optimized Ca3Hg structure (PBE-GGA).

ΔH_f (0 K) (kJ/mol of formula units): -76
E (Ha/atom): -0.065

a = 5.1002 Å, b = 5.1002 Å, c = 5.1002 Å
α = 90.00°, β = 90.00°, γ = 90.00°
Space group Pm-3m (No. 221)
One atom of each set of equivalent atoms:
Ca 0.0000 0.0000 0.5000 [3 per cell]
Hg 0.5000 0.5000 0.5000 [1 per cell]